[1]
This record from the Materials Project database describes a relaxed structure of CaCoO3. The functional is GGA+U.

Output
M_tot ... 4.0 μB per cell
SG ... Pnma
Crystal system ... orthorhombic
Energy ... -0.2217 Ha/atom
E_form ... -1981 meV per atom

Cell lengths 5.3005, 5.4126, 7.4889 Å; angles 90.00, 90.00, 90.00 degrees
Last column: nearest neighbours and their distance in Å.
Fractional positions:
Ca  0.4912  0.5468  0.2500  8 O 2.34-2.60
Ca  0.9912  0.9532  0.7500  8 O 2.34-2.60
Ca  0.0088  0.0468  0.2500  8 O 2.34-2.60
Ca  0.5088  0.4532  0.7500  8 O 2.34-2.60
Co  0.0000  0.5000  0.0000  6 O 1.91-1.96
Co  0.5000  0.0000  0.0000  6 O 1.91-1.96
Co  0.5000  0.0000  0.5000  6 O 1.91-1.96
Co  0.0000  0.5000  0.5000  6 O 1.91-1.96
O  0.4272  0.0169  0.7500  2 Co 1.91
O  0.9272  0.4831  0.2500  2 Co 1.91
O  0.0728  0.5169  0.7500  2 Co 1.91
O  0.5728  0.9831  0.2500  2 Co 1.91
O  0.2106  0.7934  0.4611  2 Co 1.92-1.96
O  0.7106  0.7066  0.5389  2 Co 1.92-1.96
O  0.2894  0.2934  0.0389  2 Co 1.92-1.96
O  0.7894  0.2066  0.9611  2 Co 1.92-1.96
O  0.2106  0.7934  0.0389  2 Co 1.92-1.96
O  0.7106  0.7066  0.9611  2 Co 1.92-1.96
O  0.7894  0.2066  0.5389  2 Co 1.92-1.96
O  0.2894  0.2934  0.4611  2 Co 1.92-1.96


[2]
This record from the Materials Project database describes a relaxed structure of CaCo2O4. The functional is GGA+U.

Output
M_tot ... 4.0 μB per cell
SG ... C2/m
Distance to the lowest polymorph of the same formula ... 1.79 eV per formula unit
Crystal system ... monoclinic
Energy ... -0.2173 Ha/atom
E_form ... -1630 meV per atom

Cell lengths 6.9725, 6.9725, 9.1821 Å; angles 56.47, 56.47, 26.08 degrees
Last column: nearest neighbours and their distance in Å.
Fractional positions:
Ca  0.6534  0.6534  0.8325  6 O 2.24-2.50
Ca  0.3466  0.3466  0.1675  6 O 2.24-2.50
Co  0.3724  0.3724  0.8151  5 O 1.89-2.12
Co  0.8618  0.8618  0.4745  6 O 1.94-2.15
Co  0.1382  0.1382  0.5255  6 O 1.94-2.15
Co  0.6276  0.6276  0.1849  5 O 1.89-2.12
O  0.1363  0.1363  0.3153  3 Co 1.94-2.02
O  0.5411  0.5411  0.6909  3 Co 1.89-2.06
O  0.4589  0.4589  0.3091  3 Co 1.89-2.06
O  0.8637  0.8637  0.6847  3 Co 1.94-2.02
O  0.8415  0.8415  0.9910  2 Co 2.12, 2 Ca 2.29
O  0.2343  0.2343  0.6208  3 Co 1.94-2.15
O  0.1585  0.1585  0.0090  2 Co 2.12, 2 Ca 2.29
O  0.7657  0.7657  0.3792  3 Co 1.94-2.15